Entry from the Materials Project: a geometry-optimized LiHfSe2 structure (PBE).

abc: 3.7131 3.7131 6.6794
angles: 90.00 90.00 120.00
Space group P-3m1 (No. 164)
Symmetry-distinct sites (fractional):
Li1 0.0000 0.0000 0.0000
Hf1 0.0000 0.0000 0.5000
Se1 0.3333 0.6667 0.7489

Results
* mass density: 7149 kg/m³
* calculated volume: 19.94 Å³ per atom
* ΔH_f (0 K): -1533 meV per atom
* energy: -24.04 eV per cell